Entry 1:
YCoO3 | PBE+U | relaxed

Structure (POSCAR):
```
YCoO3
1.0
5.237 0.000 0.000
0.010 5.746 0.000
0.001 0.084 7.489
Y Co O
4 4 12
Cartesian
0.114 0.500 1.847 Y
2.508 3.374 1.847 Y
2.740 2.456 5.642 Y
5.134 5.330 5.642 Y
0.005 2.873 0.000 Co
0.006 2.915 3.744 Co
2.619 0.000 0.000 Co
2.619 0.042 3.744 Co
0.576 3.117 5.642 O
1.021 4.716 3.351 O
1.063 4.719 0.408 O
1.569 1.844 0.409 O
1.608 1.845 3.352 O
2.051 0.243 5.638 O
3.197 5.587 1.851 O
3.641 3.985 4.137 O
3.680 3.986 7.080 O
4.186 1.111 7.081 O
4.228 1.114 4.138 O
4.672 2.713 1.847 O
```

Properties
Calculated total energy   -7.53 eV/atom

---

Entry 2:
Sr2NiIrO6 | PBE+U | relaxed

Structure (POSCAR):
```
Sr2NiIrO6
1.0
3.983 -3.983 0.000
-3.983 -3.983 0.000
0.000 0.000 -15.916
Sr Ni O Ir
8 4 24 4
Cartesian
1.992 -1.992 -5.968 Sr
-1.992 -1.992 -5.968 Sr
1.992 -1.992 -9.947 Sr
-1.992 -1.992 -9.947 Sr
1.992 -1.992 -13.926 Sr
-1.992 -1.992 -1.989 Sr
-1.992 -1.992 -13.926 Sr
1.992 -1.992 -1.989 Sr
0.000 0.000 -0.019 Ni
0.000 0.000 -7.977 Ni
0.000 -3.983 -11.918 Ni
0.000 -3.983 -3.960 Ni
0.000 -5.927 -15.910 O
0.000 -1.944 -11.943 O
0.000 -5.927 -7.952 O
0.000 -3.983 -9.894 O
2.039 -3.983 -11.943 O
0.000 -2.039 -15.910 O
0.000 -2.039 -7.952 O
-2.039 -3.983 -11.943 O
0.000 -6.023 -3.985 O
-1.944 -3.983 -15.910 O
0.000 -3.983 -1.936 O
1.944 -3.983 -7.952 O
0.000 -1.944 -3.985 O
0.000 0.000 -2.043 O
0.000 0.000 -10.001 O
2.039 -3.983 -3.985 O
0.000 0.000 -5.930 O
1.944 -3.983 -15.910 O
-2.039 -3.983 -3.985 O
0.000 0.000 -13.887 O
0.000 -3.983 -6.007 O
0.000 -3.983 -13.965 O
0.000 -6.023 -11.943 O
-1.944 -3.983 -7.952 O
0.000 0.000 -3.993 Ir
0.000 0.000 -11.951 Ir
0.000 -3.983 -7.944 Ir
0.000 -3.983 -15.902 Ir
```

Properties
Calculated total energy   -6.18 eV/atom

---

Entry 3:
Li2VSi3O9 | PBE+U | relaxed

Structure (POSCAR):
```
Li2VSi3O9
1.0
7.877 0.000 0.000
0.000 9.445 0.000
0.000 0.000 10.796
Li V Si O
8 4 12 36
Cartesian
0.644 1.174 5.371 Li
1.207 7.645 4.553 Li
2.732 1.800 9.951 Li
3.295 8.271 10.769 Li
4.582 3.548 5.425 Li
5.145 6.522 6.243 Li
6.670 2.923 0.845 Li
7.233 5.896 0.027 Li
1.918 8.549 7.572 V
2.020 0.896 2.174 V
5.857 5.618 3.224 V
5.959 3.826 8.622 V
0.321 3.348 3.056 Si
0.677 8.757 10.444 Si
0.759 5.614 7.785 Si
3.179 3.830 2.387 Si
3.261 0.687 5.046 Si
3.617 6.097 8.454 Si
4.260 1.374 7.740 Si
4.616 5.410 0.352 Si
4.697 8.553 3.012 Si
7.118 0.892 8.410 Si
7.200 4.035 5.751 Si
7.555 8.070 2.342 Si
0.123 7.675 0.782 O
0.415 2.067 2.063 O
0.451 0.553 7.373 O
0.658 4.640 6.453 O
0.778 7.138 7.107 O
0.897 8.968 2.967 O
1.651 7.945 9.440 O
1.663 0.451 0.292 O
1.732 4.179 3.088 O
2.207 5.265 8.486 O
2.275 8.994 5.690 O
2.287 1.500 4.042 O
3.041 0.477 8.365 O
3.161 2.307 1.709 O
3.281 4.805 1.055 O
3.488 8.892 1.975 O
3.523 7.377 7.461 O
3.815 1.770 6.180 O
4.061 6.492 10.015 O
4.354 2.655 8.734 O
4.389 4.170 3.424 O
4.596 0.082 4.343 O
4.716 7.029 3.689 O
4.835 5.199 7.829 O
5.589 6.222 1.356 O
5.601 4.271 10.504 O
5.670 0.543 7.708 O
6.145 8.902 2.310 O
6.214 5.173 5.106 O
6.226 3.222 6.754 O
6.980 4.246 2.431 O
7.099 2.415 9.087 O
7.219 9.362 9.741 O
7.426 5.275 8.822 O
7.462 6.790 3.335 O
7.754 2.953 4.617 O
```

Properties
Calculated total energy   -7.26 eV/atom

---

Entry 4:
Li9Mn2Co5O16 | PBE+U | relaxed

Structure (POSCAR):
```
Li9Mn2Co5O16
1.0
5.917 0.000 0.000
2.625 5.894 0.000
2.850 -0.107 8.119
Li Mn Co O
9 2 5 16
Cartesian
0.000 0.000 0.000 Li
1.370 1.469 1.985 Li
4.150 4.284 6.183 Li
5.643 2.822 8.118 Li
7.024 4.279 6.201 Li
5.711 2.872 4.127 Li
5.590 5.886 0.004 Li
4.343 1.452 2.002 Li
8.638 2.875 4.121 Li
8.501 5.834 4.111 Mn
7.152 4.343 2.048 Mn
4.281 1.406 6.147 Co
5.553 5.825 4.108 Co
4.164 4.356 2.032 Co
7.196 1.425 6.139 Co
5.752 2.917 0.035 Co
2.703 3.095 2.076 O
4.146 1.442 8.035 O
4.141 4.486 3.975 O
2.960 -0.014 6.017 O
5.562 2.760 6.106 O
4.306 1.282 4.170 O
4.276 4.325 0.183 O
5.634 5.677 2.162 O
7.284 1.437 8.047 O
7.169 4.406 4.011 O
5.828 2.938 1.991 O
5.950 -0.054 6.042 O
8.507 2.807 6.234 O
7.061 4.348 0.151 O
8.421 5.806 2.147 O
7.221 1.339 4.165 O
```

Properties
Calculated total energy   -5.79 eV/atom
Energy above the lowest structure with this stoichiometry   69 meV/atom

---

Entry 5:
Fe39Si3O56 | PBE+U | relaxed

Structure (POSCAR):
```
Fe39Si3O56
1.0
9.552 -4.258 0.000
9.552 4.258 0.000
-1.899 0.000 13.403
Fe Si O
39 3 56
Cartesian
18.631 0.000 3.311 Fe
-1.426 0.000 10.093 Fe
0.992 1.103 12.420 Fe
4.336 2.177 12.936 Fe
7.160 2.154 2.402 Fe
2.410 0.019 2.381 Fe
1.436 -0.010 9.072 Fe
8.088 2.171 5.245 Fe
1.888 -1.022 5.736 Fe
5.244 0.053 1.445 Fe
4.285 0.040 8.089 Fe
9.117 2.171 8.158 Fe
6.685 1.058 10.508 Fe
10.045 2.154 11.002 Fe
3.822 -1.025 11.478 Fe
8.095 0.090 0.470 Fe
12.869 2.177 0.468 Fe
7.240 0.064 7.157 Fe
10.520 1.058 2.896 Fe
4.297 -2.081 3.370 Fe
7.637 -1.059 3.797 Fe
9.965 0.064 6.247 Fe
5.211 -2.060 6.217 Fe
9.110 0.090 12.933 Fe
6.180 -2.116 9.074 Fe
9.567 -1.059 9.606 Fe
11.961 0.053 11.959 Fe
12.920 0.040 5.314 Fe
7.171 -2.156 11.966 Fe
16.213 1.103 0.984 Fe
10.034 -2.156 1.438 Fe
13.382 -1.025 1.926 Fe
14.795 0.019 11.023 Fe
11.025 -2.116 4.330 Fe
15.769 -0.010 4.332 Fe
8.602 -3.130 6.702 Fe
11.994 -2.060 7.186 Fe
15.316 -1.022 7.667 Fe
12.907 -2.081 10.033 Fe
9.552 3.224 0.000 Si
4.765 1.080 4.792 Si
12.440 1.080 8.612 Si
4.268 2.175 8.215 O
0.411 -0.024 1.276 O
5.313 2.166 1.404 O
-0.377 0.046 8.178 O
1.401 0.122 4.234 O
5.173 2.165 10.973 O
6.023 2.108 4.356 O
0.504 0.005 10.900 O
2.377 0.058 7.256 O
3.343 0.061 0.532 O
8.278 2.214 0.413 O
7.204 2.090 7.157 O
3.281 0.114 9.997 O
4.372 0.073 3.505 O
9.037 2.138 3.376 O
8.168 2.138 10.027 O
5.216 0.132 6.098 O
8.927 2.214 12.991 O
4.425 0.041 12.958 O
10.000 2.090 6.247 O
7.223 0.052 2.277 O
12.032 2.165 2.431 O
6.171 -0.085 9.005 O
11.182 2.108 9.047 O
11.892 2.166 12.000 O
12.937 2.175 5.188 O
8.120 0.004 5.304 O
7.210 -0.054 12.074 O
5.193 -2.055 1.547 O
9.085 0.004 8.099 O
9.995 -0.054 1.330 O
4.232 -2.233 8.229 O
9.982 0.052 11.127 O
6.139 -2.190 4.281 O
5.394 -2.107 10.988 O
11.033 -0.085 4.399 O
7.077 -2.022 7.254 O
11.988 0.132 7.306 O
12.780 0.041 0.446 O
8.228 -2.026 0.450 O
12.832 0.073 9.899 O
13.923 0.114 3.407 O
7.997 -2.111 10.122 O
9.208 -2.111 3.281 O
8.977 -2.026 12.953 O
10.128 -2.022 6.150 O
13.862 0.061 12.872 O
14.828 0.058 6.148 O
15.804 0.122 9.169 O
11.811 -2.107 2.415 O
16.700 0.005 2.504 O
11.066 -2.190 9.122 O
17.582 0.046 5.225 O
12.012 -2.055 11.856 O
16.794 -0.024 12.128 O
12.972 -2.233 5.174 O
```

Properties
Calculated total energy   -6.80 eV/atom

---

Entry 6:
TaW2O8 | PBE+U | relaxed

Structure (POSCAR):
```
TaW2O8
1.0
5.123 0.000 0.000
-1.356 5.117 0.000
-0.367 -2.375 6.806
Ta W O
1 2 8
Cartesian
0.000 0.000 0.000 Ta
0.355 0.427 5.496 W
2.903 2.370 1.195 W
-0.590 3.563 0.900 O
-0.672 1.924 5.180 O
1.125 0.126 3.981 O
1.499 1.328 0.114 O
1.858 1.335 6.515 O
2.246 2.683 2.758 O
4.082 0.772 1.366 O
4.131 -0.923 5.540 O
```

Properties
Calculated total energy   -8.07 eV/atom
Energy above the lowest structure with this stoichiometry   44 meV/atom

---

| no. | ΔH_f (0 K) (meV/atom) | E (MP2020) (eV/atom) |
| --- | --- | --- |
| 1 | -2590 | -8.274 |
| 2 | -2077 | -6.845 |
| 3 | -2871 | -7.785 |
| 4 | -1796 | -6.490 |
| 5 | -1724 | -8.088 |
| 6 | -2345 | -9.377 |